Mg6CdFe: relaxed, PBE. Values from VASP.

```
&SYSTEM
  ibrav = 0, nat = 16, ntyp = 3
/
ATOMIC_SPECIES
Mg 24.30 Mg.upf
Cd 112.41 Cd.upf
Fe 55.84 Fe.upf
ATOMIC_POSITIONS angstrom
Mg 0.000 1.540 0.884
Mg 0.000 4.595 0.884
Mg 0.000 3.067 8.715
Mg 2.440 1.433 9.460
Mg 2.440 4.702 9.460
Mg 2.440 3.067 6.921
Mg 0.000 4.607 6.098
Mg 0.000 1.527 6.098
Mg 0.000 0.000 3.501
Mg 2.440 4.501 4.246
Mg 2.440 1.634 4.246
Mg 2.440 0.000 1.707
Cd 2.440 3.067 1.764
Cd 2.440 0.000 6.978
Fe 0.000 3.067 3.624
Fe 0.000 0.000 8.838
CELL_PARAMETERS angstrom
4.880 0.000 0.000
0.000 6.135 0.000
0.000 0.000 10.428
```

Calculated values
Formation energy, eV/atom: 0.1229
E, hartree per atom: -0.0827
Mass density, g/cm³: 3.34


Cd3Fe2N4: relaxed, PBE. Values from VASP.

```
&SYSTEM
  ibrav = 0, nat = 18, ntyp = 3
/
ATOMIC_SPECIES
Cd 112.41 Cd.upf
Fe 55.84 Fe.upf
N 14.01 N.upf
ATOMIC_POSITIONS angstrom
Cd 5.935 1.608 -0.470
Cd 4.838 -3.338 2.386
Cd 2.433 -4.954 5.962
Cd 3.530 -0.008 3.105
Cd 5.167 2.624 2.734
Cd 2.981 1.598 0.534
Fe 1.758 -2.837 3.884
Fe 5.845 -1.181 4.691
Fe 6.610 -0.509 1.607
Fe 2.523 -2.165 0.800
N 6.727 1.306 1.737
N 5.377 -2.734 5.490
N 1.641 -4.651 3.754
N 2.991 -0.611 0.002
N 2.378 -2.408 5.495
N 5.766 -1.298 2.919
N 5.990 -0.937 -0.003
N 2.602 -2.047 2.573
CELL_PARAMETERS angstrom
0.221 -7.567 2.223
6.755 3.886 -2.024
1.392 0.336 5.293
```

Calculated values
Space group: No. 15
Formation energy, eV/atom: 0.1773
E, hartree per atom: -0.2042
Mass density, g/cm³: 5.79


Nd6CdFe13: relaxed, PBE. Values from VASP.

```
&SYSTEM
  ibrav = 0, nat = 40, ntyp = 3
/
ATOMIC_SPECIES
Nd 144.24 Nd.upf
Cd 112.41 Cd.upf
Fe 55.84 Fe.upf
ATOMIC_POSITIONS angstrom
Nd -6.636 -3.495 5.133
Nd -6.272 0.155 4.718
Nd -0.060 -1.857 8.897
Nd -3.195 -1.765 6.950
Nd 0.090 -0.422 5.223
Nd -0.274 -4.073 5.638
Nd -6.486 -2.061 1.459
Nd -3.351 -2.152 3.406
Nd -1.821 -5.261 2.684
Nd -1.260 0.358 2.045
Nd -4.725 1.344 7.672
Nd -5.286 -4.276 8.311
Cd -2.992 0.851 4.858
Cd -3.554 -4.769 5.497
Fe -2.784 2.236 9.977
Fe -7.772 0.766 7.162
Fe -5.689 4.331 7.820
Fe -4.867 -1.329 9.318
Fe -3.762 -6.154 0.379
Fe 1.226 -4.684 3.194
Fe -0.857 -8.249 2.535
Fe -1.679 -2.589 1.037
Fe -1.414 -7.163 0.384
Fe 0.292 -4.076 0.894
Fe -3.963 -4.707 -1.617
Fe 2.841 -6.533 2.895
Fe -1.823 -4.769 -0.288
Fe 0.701 -6.470 1.566
Fe 0.541 -1.584 0.611
Fe -1.663 -9.655 0.667
Fe -2.586 -0.222 9.542
Fe -7.108 2.979 6.197
Fe -3.253 4.150 8.366
Fe -6.442 -1.393 7.373
Fe -3.959 -3.696 0.813
Fe 0.562 -6.897 4.159
Fe -3.293 -8.068 1.990
Fe -0.104 -2.525 2.983
Fe 2.133 -2.880 1.818
Fe -2.694 -2.739 -1.179
CELL_PARAMETERS angstrom
-5.388 -5.479 -2.359
4.266 -5.761 3.637
-5.424 7.322 9.078
```

Calculated values
Space group: No. 140
Formation energy, eV/atom: -0.0193
E, hartree per atom: -0.2573
Mass density, g/cm³: 7.59


Pr6CdFe13: relaxed, PBE. Values from VASP.

```
&SYSTEM
  ibrav = 0, nat = 40, ntyp = 3
/
ATOMIC_SPECIES
Pr 140.91 Pr.upf
Cd 112.41 Cd.upf
Fe 55.84 Fe.upf
ATOMIC_POSITIONS angstrom
Pr -1.146 -8.594 3.326
Pr -3.355 -5.798 4.461
Pr 3.630 -4.029 7.538
Pr 0.741 -5.585 5.747
Pr 1.798 -1.809 4.662
Pr 4.007 -4.605 3.528
Pr -2.978 -6.374 0.451
Pr -0.089 -4.818 2.242
Pr 2.817 -5.572 0.297
Pr -0.574 -1.280 2.038
Pr -2.165 -4.831 7.692
Pr 1.225 -9.123 5.951
Cd -1.369 -3.056 4.865
Cd 2.021 -7.347 3.124
Fe -0.686 -3.594 10.222
Fe -4.154 -7.208 6.975
Fe -4.748 -3.596 9.077
Fe -0.092 -7.206 8.120
Fe 1.338 -6.809 -2.233
Fe 4.806 -3.196 1.013
Fe 5.400 -6.808 -1.088
Fe 0.744 -3.198 -0.131
Fe 3.689 -5.828 -2.622
Fe 3.092 -2.756 -0.861
Fe -0.306 -5.397 -3.476
Fe 7.087 -3.186 -0.007
Fe 1.669 -4.333 -2.252
Fe 5.112 -4.250 -1.231
Fe 1.582 -0.845 -0.085
Fe 5.199 -7.739 -3.398
Fe 0.918 -4.951 8.812
Fe -5.373 -4.991 7.016
Fe -2.709 -2.171 9.537
Fe -1.746 -7.771 6.291
Fe -0.267 -5.452 -0.823
Fe 6.025 -5.412 0.973
Fe 3.361 -8.232 -1.548
Fe 2.398 -2.633 1.698
Fe 3.913 -0.951 0.504
Fe -0.523 -3.340 -2.245
CELL_PARAMETERS angstrom
-1.046 -6.681 -4.491
7.827 -1.903 1.008
-6.129 -1.820 11.472
```

Calculated values
Space group: No. 140
Formation energy, eV/atom: -0.0089
E, hartree per atom: -0.2571
Mass density, g/cm³: 7.18


CdFeS2: relaxed, PBE. Values from VASP.

```
&SYSTEM
  ibrav = 0, nat = 4, ntyp = 3
/
ATOMIC_SPECIES
Cd 112.41 Cd.upf
Fe 55.84 Fe.upf
S 32.06 S.upf
ATOMIC_POSITIONS angstrom
Cd -0.033 -0.034 0.000
Fe -6.877 -7.058 0.031
S -1.824 -1.872 0.008
S -8.486 -8.709 0.038
CELL_PARAMETERS angstrom
-6.047 -3.290 1.104
-4.540 -4.773 -2.283
-3.189 -6.075 1.241
```

Calculated values
Space group: No. 160
Formation energy, eV/atom: -0.5819
E, hartree per atom: -0.1744
Mass density, g/cm³: 4.25


CdFeS2: relaxed, PBE. Values from VASP.

```
&SYSTEM
  ibrav = 0, nat = 4, ntyp = 3
/
ATOMIC_SPECIES
Cd 112.41 Cd.upf
Fe 55.84 Fe.upf
S 32.06 S.upf
ATOMIC_POSITIONS angstrom
Cd 2.023 -2.249 -1.509
Fe 4.792 -5.034 -0.911
S 3.550 -3.945 -2.646
S 2.203 -2.156 1.019
CELL_PARAMETERS angstrom
2.661 0.439 2.916
-2.841 -2.759 0.303
3.969 -4.410 -2.959
```

Calculated values
Space group: No. 156
Formation energy, eV/atom: -0.5821
E, hartree per atom: -0.1745
Mass density, g/cm³: 4.26


Cd3FeS4: relaxed, PBE. Values from VASP.

```
&SYSTEM
  ibrav = 0, nat = 8, ntyp = 3
/
ATOMIC_SPECIES
Cd 112.41 Cd.upf
Fe 55.84 Fe.upf
S 32.06 S.upf
ATOMIC_POSITIONS angstrom
Cd 0.000 0.000 8.904
Cd 2.048 2.048 5.821
Cd 0.000 0.000 2.738
Fe 2.048 2.048 0.000
S 0.000 2.048 4.277
S 2.048 0.000 1.181
S 0.000 2.048 10.461
S 2.048 0.000 7.365
CELL_PARAMETERS angstrom
4.097 0.000 0.000
0.000 4.097 0.000
0.000 0.000 11.642
```

Calculated values
Space group: No. 115
Formation energy, eV/atom: -0.7410
E, hartree per atom: -0.1456
Mass density, g/cm³: 4.43


Cd3FeSe4: relaxed, PBE. Values from VASP.

```
&SYSTEM
  ibrav = 0, nat = 8, ntyp = 3
/
ATOMIC_SPECIES
Cd 112.41 Cd.upf
Fe 55.84 Fe.upf
Se 78.96 Se.upf
ATOMIC_POSITIONS angstrom
Cd 5.573 4.115 8.614
Cd 0.827 2.638 3.200
Cd 4.570 1.423 5.212
Fe 9.082 2.828 10.358
Se 7.311 4.657 10.596
Se 2.555 3.176 5.171
Se 6.307 1.964 7.194
Se 1.561 0.486 1.780
CELL_PARAMETERS angstrom
2.250 2.525 -2.662
-3.199 1.662 2.351
9.119 2.840 10.401
```

Calculated values
Space group: No. 156
Formation energy, eV/atom: -0.6630
E, hartree per atom: -0.1316
Mass density, g/cm³: 5.20


Cd3Ga: relaxed, PBE. Values from VASP.

```
&SYSTEM
  ibrav = 0, nat = 8, ntyp = 2
/
ATOMIC_SPECIES
Cd 112.41 Cd.upf
Ga 69.72 Ga.upf
ATOMIC_POSITIONS angstrom
Cd -2.111 0.182 -0.752
Cd -3.855 2.467 -2.087
Cd -3.595 -0.357 -3.501
Cd -5.476 2.788 0.582
Cd -3.731 0.503 1.916
Cd -3.991 3.328 3.330
Ga -5.222 -0.054 -0.854
Ga -2.365 3.025 0.683
CELL_PARAMETERS angstrom
-0.525 5.694 2.850
-2.992 -1.087 -5.540
-4.069 -1.636 2.519
```

Calculated values
Space group: No. 194
Formation energy, eV/atom: 0.0522
E, hartree per atom: -0.0513
Mass density, g/cm³: 7.56


Cd3Ga: relaxed, PBE. Values from VASP.

```
&SYSTEM
  ibrav = 0, nat = 4, ntyp = 2
/
ATOMIC_SPECIES
Cd 112.41 Cd.upf
Ga 69.72 Ga.upf
ATOMIC_POSITIONS angstrom
Cd 3.139 -0.337 0.550
Cd 1.220 -0.199 2.957
Cd 3.313 2.187 2.517
Ga 0.000 0.000 0.000
CELL_PARAMETERS angstrom
5.232 2.049 0.110
1.394 2.325 4.923
-2.267 -4.911 -1.526
```

Calculated values
Space group: No. 139
Formation energy, eV/atom: 0.0537
E, hartree per atom: -0.0513
Mass density, g/cm³: 7.57


- The highest formation energy belongs to which entry?
  Cd3Fe2N4


- Among the records above, which one has the highest formation energy?
  Cd3Fe2N4